No. 1
Material: KPtNCl3
Method: DFT, GGA-PBE
State: relaxed

```
KPtNCl3
1.0
2.1722 -8.7952 0.0000
2.1722 8.7952 0.0000
0.0000 0.0000 9.4505
K Pt N Cl
2 2 2 6
Direct
0.0000 0.0000 0.0000 K
0.0000 0.0000 0.5000 K
0.3400 0.6600 0.7500 Pt
0.6600 0.3400 0.2500 Pt
0.2406 0.7594 0.7500 N
0.7594 0.2406 0.2500 N
0.3543 0.6457 0.5054 Cl
0.3543 0.6457 0.9946 Cl
0.4808 0.5192 0.7500 Cl
0.5192 0.4808 0.2500 Cl
0.6457 0.3543 0.0054 Cl
0.6457 0.3543 0.4946 Cl
```

Computed properties:
- Symmetry: Cmcm
- E: -3.784 eV per atom



No. 2
Material: Mg4Sn6Pt5
Method: DFT, GGA-PBE
State: relaxed

```
Mg4Sn6Pt5
1.0
2.2585 1.3039 18.5394
-2.2585 1.3039 18.5394
0.0000 -2.6079 18.5394
Mg Sn Pt
4 6 5
Direct
0.0000 0.0000 0.0000 Mg
0.1989 0.1989 0.1989 Mg
0.3991 0.3991 0.3991 Mg
0.7992 0.7992 0.7992 Mg
0.0991 0.0991 0.0991 Sn
0.3011 0.3011 0.3011 Sn
0.4988 0.4988 0.4988 Sn
0.5994 0.5994 0.5994 Sn
0.6988 0.6988 0.6988 Sn
0.8973 0.8973 0.8973 Sn
0.0493 0.0493 0.0493 Pt
0.2496 0.2496 0.2496 Pt
0.4491 0.4491 0.4491 Pt
0.6494 0.6494 0.6494 Pt
0.8486 0.8486 0.8486 Pt
```

Computed properties:
- Symmetry: R3m
- E: -4.706 eV per atom



No. 3
Material: Al3P3C4NO13
Method: DFT, GGA-PBE
State: relaxed

```
Al3P3C4NO13
1.0
10.2812 0.0000 0.0000
0.0000 15.2512 0.0000
0.0000 0.0000 9.4858
Al P C N O
12 12 16 4 52
Direct
0.1462 0.2489 0.3682 Al
0.1469 0.8961 0.1204 Al
0.1494 0.6045 0.1239 Al
0.3506 0.1045 0.8761 Al
0.3531 0.3961 0.8796 Al
0.3538 0.7489 0.6318 Al
0.6462 0.2511 0.6318 Al
0.6469 0.6039 0.8796 Al
0.6494 0.8955 0.8761 Al
0.8506 0.3955 0.1239 Al
0.8531 0.1039 0.1204 Al
0.8538 0.7511 0.3682 Al
0.1527 0.1077 0.1272 P
0.1557 0.3979 0.1329 P
0.1594 0.7542 0.3603 P
0.3406 0.2542 0.6397 P
0.3443 0.8979 0.8671 P
0.3473 0.6077 0.8728 P
0.6527 0.3923 0.8728 P
0.6557 0.1021 0.8671 P
0.6594 0.7458 0.6397 P
0.8406 0.2458 0.3603 P
0.8443 0.6021 0.1329 P
0.8473 0.8923 0.1272 P
0.0485 0.5651 0.5573 C
0.0520 0.5707 0.6978 C
0.0757 0.0609 0.7063 C
0.0761 0.0619 0.5556 C
0.4243 0.5609 0.2937 C
0.4239 0.5619 0.4444 C
0.4480 0.0707 0.3022 C
0.4515 0.0651 0.4427 C
0.5485 0.9349 0.4427 C
0.5520 0.9293 0.3022 C
0.5761 0.4381 0.4444 C
0.5757 0.4391 0.2937 C
0.9239 0.9381 0.5556 C
0.9243 0.9391 0.7063 C
0.9480 0.4293 0.6978 C
0.9515 0.4349 0.5573 C
0.0000 0.0000 0.7424 N
0.0000 0.5000 0.4839 N
0.5000 0.0000 0.5161 N
0.5000 0.5000 0.2576 N
0.0000 0.0000 0.4936 O
0.0000 0.5000 0.7695 O
0.0145 0.1298 0.0731 O
0.0159 0.3868 0.0768 O
0.0189 0.7544 0.4177 O
0.1636 0.0084 0.1546 O
0.1754 0.3446 0.2688 O
0.1789 0.1562 0.2658 O
0.1799 0.6730 0.2675 O
0.1831 0.4949 0.1675 O
0.1865 0.8384 0.2749 O
0.2462 0.2520 0.5155 O
0.2472 0.6373 0.9828 O
0.2483 0.8658 0.9802 O
0.2517 0.3658 0.0198 O
0.2528 0.1373 0.0172 O
0.2538 0.7520 0.4845 O
0.3135 0.3384 0.7251 O
0.3169 0.9949 0.8325 O
0.3201 0.1730 0.7325 O
0.3211 0.6562 0.7342 O
0.3246 0.8446 0.7312 O
0.3364 0.5084 0.8454 O
0.4811 0.2544 0.5823 O
0.4841 0.8868 0.9232 O
0.4855 0.6298 0.9269 O
0.5000 0.0000 0.2305 O
0.5000 0.5000 0.5064 O
0.5145 0.3702 0.9269 O
0.5159 0.1132 0.9232 O
0.5189 0.7456 0.5823 O
0.6636 0.4916 0.8454 O
0.6754 0.1554 0.7312 O
0.6789 0.3438 0.7342 O
0.6799 0.8270 0.7325 O
0.6831 0.0051 0.8325 O
0.6865 0.6616 0.7251 O
0.7462 0.2480 0.4845 O
0.7472 0.8627 0.0172 O
0.7483 0.6342 0.0198 O
0.7517 0.1342 0.9802 O
0.7528 0.3627 0.9828 O
0.7538 0.7480 0.5155 O
0.8135 0.1616 0.2749 O
0.8169 0.5051 0.1675 O
0.8201 0.3270 0.2675 O
0.8211 0.8438 0.2658 O
0.8246 0.6554 0.2688 O
0.8364 0.9916 0.1546 O
0.9811 0.2456 0.4177 O
0.9841 0.6132 0.0768 O
0.9855 0.8702 0.0731 O
```

Computed properties:
- Symmetry: P2_12_12
- Polymorph energy (0 for the lowest one): 63 meV/atom



No. 4
Material: Mg2NiH4
Method: DFT, GGA-PBE
State: relaxed

```
Mg2NiH4
1.0
6.3682 0.0000 0.0000
0.0000 13.1024 0.0000
0.0000 0.0000 6.4560
Mg Ni H
16 8 32
Direct
0.2386 0.0135 0.0673 Mg
0.2386 0.4865 0.5673 Mg
0.2500 0.2500 0.0564 Mg
0.2500 0.2500 0.5564 Mg
0.2500 0.7500 0.4699 Mg
0.2500 0.7500 0.9699 Mg
0.2614 0.0135 0.5673 Mg
0.2614 0.4865 0.0673 Mg
0.7386 0.5135 0.9327 Mg
0.7386 0.9865 0.4327 Mg
0.7500 0.2500 0.0301 Mg
0.7500 0.2500 0.5301 Mg
0.7500 0.7500 0.4436 Mg
0.7500 0.7500 0.9436 Mg
0.7614 0.5135 0.4327 Mg
0.7614 0.9865 0.9327 Mg
0.0171 0.1311 0.8049 Ni
0.0171 0.3689 0.3049 Ni
0.4829 0.1311 0.3049 Ni
0.4829 0.3689 0.8049 Ni
0.5171 0.6311 0.1951 Ni
0.5171 0.8689 0.6951 Ni
0.9829 0.6311 0.6951 Ni
0.9829 0.8689 0.1951 Ni
0.0323 0.7452 0.7374 H
0.0323 0.7548 0.2374 H
0.0554 0.5405 0.8379 H
0.0554 0.9595 0.3379 H
0.0646 0.6101 0.4710 H
0.0646 0.8899 0.9710 H
0.2384 0.1264 0.3157 H
0.2384 0.3736 0.8157 H
0.2616 0.1264 0.8157 H
0.2616 0.3736 0.3157 H
0.4354 0.6101 0.9710 H
0.4354 0.8899 0.4710 H
0.4446 0.5405 0.3379 H
0.4446 0.9595 0.8379 H
0.4677 0.7452 0.2374 H
0.4677 0.7548 0.7374 H
0.5323 0.2452 0.2626 H
0.5323 0.2548 0.7626 H
0.5554 0.0405 0.1621 H
0.5554 0.4595 0.6621 H
0.5646 0.1101 0.5290 H
0.5646 0.3899 0.0290 H
0.7384 0.6264 0.6843 H
0.7384 0.8736 0.1843 H
0.7616 0.6264 0.1843 H
0.7616 0.8736 0.6843 H
0.9354 0.1101 0.0290 H
0.9354 0.3899 0.5290 H
0.9446 0.0405 0.6621 H
0.9446 0.4595 0.1621 H
0.9677 0.2452 0.7626 H
0.9677 0.2548 0.2626 H
```

Computed properties:
- Symmetry: Pccn
- Polymorph energy (0 for the lowest one): 4 meV/atom



No. 5
Material: UFe4P12
Method: DFT, GGA-PBE
State: relaxed

```
UFe4P12
1.0
-3.8833 3.8833 3.8833
3.8833 -3.8833 3.8833
3.8833 3.8833 -3.8833
U Fe P
1 4 12
Direct
0.0000 0.0000 0.0000 U
0.0000 0.0000 0.5000 Fe
0.0000 0.5000 0.0000 Fe
0.5000 0.0000 0.0000 Fe
0.5000 0.5000 0.5000 Fe
0.1509 0.4997 0.3487 P
0.1509 0.8022 0.6513 P
0.1978 0.3487 0.8491 P
0.3487 0.1509 0.4997 P
0.3487 0.8491 0.1978 P
0.4997 0.3487 0.1509 P
0.5003 0.6513 0.8491 P
0.6513 0.1509 0.8022 P
0.6513 0.8491 0.5003 P
0.8022 0.6513 0.1509 P
0.8491 0.1978 0.3487 P
0.8491 0.5003 0.6513 P
```

Computed properties:
- Symmetry: Im-3
- E: -7.024 eV per atom



No. 6
Material: Na3ScAlP3O12
Method: DFT, GGA-PBE
State: relaxed

```
Na3ScAlP3O12
1.0
8.7948 0.0000 0.0000
0.0157 8.8588 0.0000
0.0041 0.1263 12.5654
Na Sc Al P O
12 4 4 12 48
Direct
0.0000 0.0000 0.0000 Na
0.0302 0.6555 0.3091 Na
0.1544 0.6531 0.5697 Na
0.2024 0.6507 0.0627 Na
0.3162 0.6588 0.8103 Na
0.3634 0.0040 0.5073 Na
0.4947 0.4935 0.5029 Na
0.5435 0.1586 0.8086 Na
0.6540 0.1508 0.0638 Na
0.7019 0.1530 0.5697 Na
0.8300 0.1599 0.3092 Na
0.8635 0.4965 0.9965 Na
0.1885 0.9488 0.2086 Sc
0.6722 0.4508 0.2062 Sc
0.6806 0.8620 0.4172 Sc
0.6900 0.4516 0.7080 Sc
0.1753 0.9532 0.7110 Al
0.1814 0.3605 0.9135 Al
0.1811 0.3610 0.4165 Al
0.6790 0.8609 0.9141 Al
0.0390 0.0106 0.4619 P
0.0448 0.3107 0.1609 P
0.3138 0.3024 0.6665 P
0.3300 0.0115 0.9493 P
0.3752 0.6500 0.3181 P
0.4734 0.1628 0.3167 P
0.5285 0.5092 0.9531 P
0.5321 0.8113 0.6699 P
0.8178 0.8125 0.1562 P
0.8351 0.4964 0.4556 P
0.8956 0.1520 0.8142 P
0.9768 0.6643 0.8137 P
0.0002 0.0474 0.7518 O
0.0105 0.4843 0.4609 O
0.0736 0.1384 0.1596 O
0.0772 0.5658 0.8915 O
0.0851 0.7557 0.7401 O
0.0873 0.1779 0.4498 O
0.0938 0.9229 0.3627 O
0.1022 0.3789 0.2667 O
0.1122 0.9326 0.5611 O
0.1151 0.3921 0.0624 O
0.2480 0.3854 0.5673 O
0.2544 0.3778 0.7694 O
0.2567 0.9280 0.0456 O
0.2662 0.9367 0.8481 O
0.2674 0.7279 0.2371 O
0.2763 0.5587 0.3995 O
0.2825 0.1303 0.6686 O
0.2909 0.1822 0.9474 O
0.3525 0.4957 0.9555 O
0.3548 0.8304 0.6637 O
0.3721 0.2726 0.3807 O
0.3760 0.0476 0.2573 O
0.4692 0.7606 0.3865 O
0.4814 0.5457 0.2571 O
0.4912 0.3169 0.6576 O
0.5063 0.9966 0.9538 O
0.5602 0.6395 0.6607 O
0.5704 0.6788 0.9480 O
0.5739 0.0794 0.4010 O
0.5816 0.2366 0.2350 O
0.5919 0.4285 0.8540 O
0.5990 0.8734 0.7742 O
0.6010 0.9002 0.5751 O
0.6033 0.4265 0.0485 O
0.7445 0.8933 0.0592 O
0.7534 0.4171 0.5491 O
0.7622 0.8863 0.2603 O
0.7766 0.4227 0.3530 O
0.7873 0.2367 0.7367 O
0.7869 0.6413 0.1572 O
0.7905 0.0590 0.8918 O
0.7964 0.6673 0.4522 O
0.8635 0.0062 0.4663 O
0.8681 0.3260 0.1507 O
0.8715 0.7607 0.8853 O
0.8812 0.5596 0.7440 O
0.9907 0.2601 0.8850 O
0.9944 0.8266 0.1479 O
```

Computed properties:
- Symmetry: P1
- Polymorph energy (0 for the lowest one): 0 meV/atom



Repeat the fifth record exactly.
Material: UFe4P12
Method: DFT, GGA-PBE
State: relaxed

```
UFe4P12
1.0
-3.8833 3.8833 3.8833
3.8833 -3.8833 3.8833
3.8833 3.8833 -3.8833
U Fe P
1 4 12
Direct
0.0000 0.0000 0.0000 U
0.0000 0.0000 0.5000 Fe
0.0000 0.5000 0.0000 Fe
0.5000 0.0000 0.0000 Fe
0.5000 0.5000 0.5000 Fe
0.1509 0.4997 0.3487 P
0.1509 0.8022 0.6513 P
0.1978 0.3487 0.8491 P
0.3487 0.1509 0.4997 P
0.3487 0.8491 0.1978 P
0.4997 0.3487 0.1509 P
0.5003 0.6513 0.8491 P
0.6513 0.1509 0.8022 P
0.6513 0.8491 0.5003 P
0.8022 0.6513 0.1509 P
0.8491 0.1978 0.3487 P
0.8491 0.5003 0.6513 P
```

Computed properties:
- Symmetry: Im-3
- E: -7.024 eV per atom